# 1
# Na2CrCuF7

An optimized crystal structure of Na2CrCuF7 (PBE+U, the Materials Project database).

Geometry as POSCAR:
```
Na2CrCuF7
1.0
10.4896 0.0000 0.0000
0.0000 7.2021 0.0000
0.0000 0.0000 7.6435
Na Cr Cu F
8 4 4 28
Direct
0.0000 0.0000 0.0000
0.0000 0.5000 0.0000
0.2470 0.2500 0.2744
0.2530 0.7500 0.7744
0.5000 0.0000 0.5000
0.5000 0.5000 0.5000
0.7470 0.2500 0.2256
0.7530 0.7500 0.7256
0.2418 0.2500 0.7774
0.2582 0.7500 0.2774
0.7418 0.2500 0.7226
0.7582 0.7500 0.2226
0.0000 0.0000 0.5000
0.0000 0.5000 0.5000
0.5000 0.0000 0.0000
0.5000 0.5000 0.0000
0.0062 0.2500 0.4057
0.1269 0.0477 0.7240
0.1269 0.4523 0.7240
0.1414 0.5482 0.3406
0.1414 0.9518 0.3406
0.1559 0.2500 0.0070
0.1701 0.7500 0.0497
0.3299 0.2500 0.5497
0.3441 0.7500 0.5070
0.3586 0.0482 0.8406
0.3586 0.4518 0.8406
0.3731 0.5477 0.2240
0.3731 0.9523 0.2240
0.4938 0.7500 0.9057
0.5062 0.2500 0.0943
0.6269 0.0477 0.7760
0.6269 0.4523 0.7760
0.6414 0.5482 0.1594
0.6414 0.9518 0.1594
0.6559 0.2500 0.4930
0.6701 0.7500 0.4503
0.8299 0.2500 0.9503
0.8441 0.7500 0.9930
0.8586 0.0482 0.6594
0.8586 0.4518 0.6594
0.8731 0.5477 0.2760
0.8731 0.9523 0.2760
0.9938 0.7500 0.5943
```

Properties
energy relative to the elements	-2.7198	eV/atom
SG	Pnma, No. 62

# 2
# RbCrCuF6

An optimized crystal structure of RbCrCuF6 (PBE+U, the Materials Project database).

Geometry as POSCAR:
```
RbCrCuF6
1.0
-3.5869 3.7101 5.2910
3.5869 -3.7101 5.2910
3.5869 3.7101 -5.2910
Rb Cr Cu F
2 2 2 12
Direct
0.3697 0.1197 0.2500
0.6303 0.8803 0.7500
0.0000 0.5000 0.5000
0.5000 0.5000 0.0000
0.0000 0.0000 0.5000
0.0000 0.5000 0.0000
0.0688 0.8188 0.2500
0.0773 0.4259 0.2599
0.0773 0.8174 0.6514
0.3123 0.5623 0.7500
0.3340 0.1826 0.7599
0.3340 0.5741 0.1514
0.6660 0.4259 0.8486
0.6660 0.8174 0.2401
0.6877 0.4377 0.2500
0.9227 0.1826 0.3486
0.9227 0.5741 0.7401
0.9312 0.1812 0.7500
```

Properties
energy relative to the elements	-2.6669	eV/atom
SG	Imma, No. 74

# 3
# Li4CrFe3Cu2P6O24

An optimized crystal structure of Li4CrFe3Cu2P6O24 (PBE+U, the Materials Project database).

Geometry as POSCAR:
```
Li4CrFe3Cu2P6O24
1.0
8.5874 0.0000 0.0000
4.1463 7.5981 0.0000
4.1540 2.4775 7.1871
Li Cr Fe Cu P O
4 1 3 2 6 24
Direct
0.0000 0.0000 0.0000
0.0943 0.4998 0.9017
0.5007 0.6931 0.3028
0.9022 0.0992 0.4961
0.1053 0.7006 0.5070
0.3966 0.9912 0.7889
0.6030 0.2101 0.0072
0.8978 0.4946 0.3020
0.2711 0.8506 0.6422
0.7303 0.3588 0.1497
0.9997 0.3028 0.6986
0.2045 0.0962 0.1898
0.2977 0.5979 0.1069
0.4996 0.3882 0.6104
0.7045 0.8946 0.4002
0.7949 0.8088 0.9018
0.0141 0.2588 0.2210
0.0548 0.4624 0.6693
0.1374 0.5370 0.1432
0.1570 0.1102 0.7224
0.1847 0.9340 0.3832
0.2204 0.0472 0.0338
0.2689 0.6493 0.2693
0.2953 0.7698 0.9268
0.3381 0.5825 0.5859
0.3738 0.1424 0.1478
0.4435 0.2302 0.6441
0.4884 0.4402 0.0813
0.5140 0.9173 0.5587
0.5542 0.3554 0.7692
0.6262 0.8516 0.8548
0.6611 0.4130 0.4172
0.7037 0.0748 0.2285
0.7362 0.7319 0.3475
0.7796 0.9653 0.9503
0.8161 0.6160 0.0632
0.8425 0.2768 0.8910
0.8652 0.8617 0.4586
0.9428 0.3345 0.5396
0.9863 0.7791 0.7383
```

Properties
energy relative to the elements	-2.3109	eV/atom
SG	P1, No. 1

# 4
# CrFe3Cu2P6O24

An optimized crystal structure of CrFe3Cu2P6O24 (PBE+U, the Materials Project database).

Geometry as POSCAR:
```
CrFe3Cu2P6O24
1.0
4.3131 2.4902 6.9883
-4.3131 2.4902 6.9883
0.0000 -4.9803 6.9883
Cr Fe Cu P O
1 3 2 6 24
Direct
0.0000 0.0000 0.0000
0.2852 0.2852 0.2852
0.4969 0.4969 0.4969
0.7856 0.7856 0.7856
0.1420 0.1420 0.1420
0.6414 0.6414 0.6414
0.0965 0.6851 0.3901
0.1840 0.5993 0.8916
0.3901 0.0965 0.6851
0.5993 0.8916 0.1840
0.6851 0.3901 0.0965
0.8916 0.1840 0.5993
0.0276 0.6363 0.8277
0.0550 0.1974 0.4039
0.0811 0.8823 0.2247
0.1339 0.5278 0.3278
0.1431 0.7605 0.9536
0.1974 0.4039 0.0550
0.2247 0.0811 0.8823
0.2544 0.6505 0.4505
0.3278 0.1339 0.5278
0.3812 0.5884 0.7277
0.4039 0.0550 0.1974
0.4505 0.2544 0.6505
0.5278 0.3278 0.1339
0.5525 0.8979 0.7023
0.5884 0.7277 0.3812
0.6363 0.8277 0.0276
0.6505 0.4505 0.2544
0.7023 0.5525 0.8979
0.7277 0.3812 0.5884
0.7605 0.9536 0.1431
0.8277 0.0276 0.6363
0.8823 0.2247 0.0811
0.8979 0.7023 0.5525
0.9536 0.1431 0.7605
```

Properties
energy relative to the elements	-2.1800	eV/atom
SG	R3, No. 146

# 5
# K2Cr2CuP2O14

An optimized crystal structure of K2Cr2CuP2O14 (PBE+U, the Materials Project database).

Geometry as POSCAR:
```
K2Cr2CuP2O14
1.0
9.8643 0.0000 0.0000
0.0000 7.1720 0.0000
-0.2257 0.0000 8.9042
K Cr Cu P O
4 4 2 4 28
Direct
0.1950 0.1313 0.1708
0.1950 0.3687 0.6708
0.8050 0.6313 0.3292
0.8050 0.8687 0.8292
0.1558 0.6207 0.1101
0.1558 0.8793 0.6101
0.8442 0.1207 0.3899
0.8442 0.3793 0.8899
0.5000 0.0000 0.5000
0.5000 0.5000 0.0000
0.4018 0.6327 0.3116
0.4018 0.8674 0.8116
0.5982 0.1326 0.1884
0.5982 0.3674 0.6884
0.0522 0.5043 0.2127
0.0522 0.9957 0.7127
0.0758 0.7206 0.5145
0.0758 0.7794 0.0145
0.2375 0.0256 0.5036
0.2375 0.4744 0.0036
0.2862 0.7459 0.2261
0.2862 0.7541 0.7261
0.3424 0.0437 0.8771
0.3424 0.4563 0.3771
0.4679 0.7470 0.9379
0.4679 0.7530 0.4379
0.4817 0.0860 0.2990
0.4817 0.4140 0.7990
0.5183 0.5860 0.2010
0.5183 0.9140 0.7010
0.5321 0.2470 0.5621
0.5321 0.2530 0.0621
0.6576 0.5437 0.6229
0.6576 0.9563 0.1229
0.7138 0.2459 0.2739
0.7138 0.2541 0.7739
0.7625 0.5256 0.9964
0.7625 0.9744 0.4964
0.9242 0.2206 0.9855
0.9242 0.2794 0.4855
0.9478 0.0043 0.2873
0.9478 0.4957 0.7873
```

Properties
energy relative to the elements	-1.9335	eV/atom
SG	P2_1/c, No. 14

# 6
# LaMgCrCuO6

An optimized crystal structure of LaMgCrCuO6 (PBE+U, the Materials Project database).

Geometry as POSCAR:
```
LaMgCrCuO6
1.0
5.3108 0.0000 0.0000
0.0000 5.3903 0.0000
-5.2922 0.0000 7.7340
La Mg Cr Cu O
2 2 2 2 12
Direct
0.0000 0.2066 0.0000
0.0000 0.7934 0.5000
0.5216 0.3099 0.4932
0.5216 0.6901 0.9932
0.7624 0.2553 0.2490
0.7624 0.7447 0.7490
0.2596 0.2495 0.7508
0.2596 0.7505 0.2508
0.1384 0.2237 0.4981
0.1384 0.7763 0.9981
0.4267 0.3091 0.0015
0.4267 0.6909 0.5015
0.5003 0.0583 0.3076
0.5003 0.9417 0.8076
0.6007 0.4963 0.8138
0.6007 0.5037 0.3138
0.8612 0.0424 0.6891
0.8612 0.9576 0.1891
0.9715 0.4763 0.1978
0.9715 0.5237 0.6978
```

Properties
energy relative to the elements	-2.3098	eV/atom
SG	Pc, No. 7